Computed, not measured: TmAlNi after structural relaxation at the GGA-PBE level of DFT.

```
TmAlNi
1.0
6.938 0.000 0.000
-3.469 6.008 0.000
0.000 0.000 3.785
Tm Al Ni
3 3 3
Direct
0.000 0.415 0.000
0.415 0.000 0.000
0.585 0.585 0.000
0.000 0.760 0.500
0.240 0.240 0.500
0.760 0.000 0.500
0.000 0.000 0.000
0.333 0.667 0.500
0.667 0.333 0.500
```

**DFT total energy**: -47.65 eV per cell